# GGA+U LiFeSe4O10, optimized geometry
data_LiFeSe4O10
_chemical_formula_sum 'Li4 Fe4 Se16 O40'
_cell_length_a 6.927
_cell_length_b 10.496
_cell_length_c 12.193
_cell_angle_alpha 90.00
_cell_angle_beta 90.00
_cell_angle_gamma 90.00
_symmetry_space_group_name_H-M 'P 1'
_symmetry_Int_Tables_number 1
_symmetry_space_group_name_Hall 'P 1'
loop_
_atom_site_label
_atom_site_type_symbol
_atom_site_fract_x
_atom_site_fract_y
_atom_site_fract_z
O1 O 0.295 0.131 0.791
O2 O 0.161 0.905 0.861
O3 O 0.661 0.405 0.139
O4 O 0.000 0.272 0.000
O5 O 0.686 0.546 0.951
O6 O 0.500 0.772 0.000
O7 O 0.000 0.408 0.750
O8 O 0.000 0.408 0.250
O9 O 0.839 0.905 0.139
O10 O 0.148 0.770 0.592
O11 O 0.148 0.769 0.092
O12 O 0.686 0.546 0.451
O13 O 0.795 0.631 0.709
O14 O 0.295 0.131 0.291
O15 O 0.352 0.270 0.592
O16 O 0.839 0.905 0.639
O17 O 0.705 0.131 0.709
O18 O 0.339 0.405 0.861
O19 O 0.161 0.905 0.361
O20 O 0.500 0.772 0.500
O21 O 0.500 0.908 0.750
O22 O 0.314 0.546 0.549
O23 O 0.814 0.046 0.451
O24 O 0.661 0.405 0.639
O25 O 0.205 0.631 0.791
O26 O 0.205 0.631 0.291
O27 O 0.314 0.546 0.049
O28 O 0.000 0.272 0.500
O29 O 0.795 0.631 0.209
O30 O 0.186 0.046 0.049
O31 O 0.814 0.046 0.951
O32 O 0.339 0.405 0.361
O33 O 0.648 0.270 0.408
O34 O 0.852 0.769 0.908
O35 O 0.648 0.270 0.908
O36 O 0.852 0.770 0.408
O37 O 0.500 0.908 0.250
O38 O 0.186 0.046 0.549
O39 O 0.352 0.270 0.092
O40 O 0.705 0.131 0.209
Se1 Se 0.866 0.500 0.641
Se2 Se 0.634 0.000 0.141
Se3 Se 0.861 0.190 0.390
Se4 Se 0.639 0.690 0.890
Se5 Se 0.134 0.500 0.359
Se6 Se 0.634 0.000 0.641
Se7 Se 0.134 0.500 0.859
Se8 Se 0.866 0.500 0.141
Se9 Se 0.861 0.190 0.890
Se10 Se 0.361 0.690 0.610
Se11 Se 0.366 0.000 0.859
Se12 Se 0.361 0.690 0.110
Se13 Se 0.639 0.690 0.390
Se14 Se 0.366 0.000 0.359
Se15 Se 0.139 0.190 0.110
Se16 Se 0.139 0.190 0.610
Fe1 Fe 0.500 0.402 0.000
Fe2 Fe 0.000 0.902 0.000
Fe3 Fe 0.000 0.902 0.500
Fe4 Fe 0.500 0.402 0.500
Li1 Li 0.000 0.778 0.250
Li2 Li 0.500 0.278 0.750
Li3 Li 0.000 0.778 0.750
Li4 Li 0.500 0.278 0.250
# Calculated formation energy   -1.426 eV per atom